# PBE-GGA CsEuF3, optimized geometry
# Energy with MP2020 corrections = -6.967 eV/atom
# ΔE_f = -3588 meV/atom
# Calculated density = 5.0 g/cm³
# Raw total energy = -6.690 eV/atom
data_CsEuF3
_cell_length_a 4.839
_cell_length_b 4.839
_cell_length_c 4.839
_cell_angle_alpha 90.00
_cell_angle_beta 90.00
_cell_angle_gamma 90.00
_space_group_name_H-M_alt 'P m -3 m'
_space_group_IT_number 221
_space_group_name_Hall '-P 4 2 3'
loop_
_atom_site_label
_atom_site_fract_x
_atom_site_fract_y
_atom_site_fract_z
Cs1 0.000 0.000 0.000
Eu1 0.500 0.500 0.500
F1 0.000 0.500 0.500

---

# PBE-GGA LaFe9Si4, optimized geometry
# Energy with MP2020 corrections = -7.711 eV/atom
# ΔE_f = -363 meV/atom
# Total magnetic moment = 13.8 μB/f.u.
# Calculated density = 6.9 g/cm³
# Raw total energy = -7.731 eV/atom
data_LaFe9Si4
_cell_length_a 7.910
_cell_length_b 7.910
_cell_length_c 11.568
_cell_angle_alpha 90.00
_cell_angle_beta 90.00
_cell_angle_gamma 90.00
_space_group_name_H-M_alt 'I 4/m c m'
_space_group_IT_number 140
_space_group_name_Hall '-I 4 2c'
loop_
_atom_site_label
_atom_site_fract_x
_atom_site_fract_y
_atom_site_fract_z
La1 0.000 0.000 0.250
Fe1 0.000 0.500 0.000
Fe2 0.064 0.201 0.000
Fe3 0.119 0.381 0.180
Si1 0.176 0.324 0.380

---

# PBE-GGA NaSrEuSeO6, optimized geometry
# Energy with MP2020 corrections = -6.856 eV/atom
# ΔE_f = -2210 meV/atom
# Total magnetic moment = 6.0 μB/f.u.
# Calculated density = 5.3 g/cm³
# Raw total energy = -6.443 eV/atom
data_NaSrEuSeO6
_cell_length_a 8.183
_cell_length_b 8.183
_cell_length_c 8.183
_cell_angle_alpha 90.00
_cell_angle_beta 90.00
_cell_angle_gamma 90.00
_space_group_name_H-M_alt 'F -4 3 m'
_space_group_IT_number 216
_space_group_name_Hall 'F -4 2 3'
loop_
_atom_site_label
_atom_site_fract_x
_atom_site_fract_y
_atom_site_fract_z
Na1 0.000 0.000 0.000
Sr1 0.000 0.000 0.500
Eu1 0.250 0.250 0.250
Se1 0.250 0.250 0.750
O1 0.027 0.250 0.750

---

# PBE-GGA Li3BiB2O6, optimized geometry
# Energy with MP2020 corrections = -6.808 eV/atom
# ΔE_f = -2419 meV/atom
# Total magnetic moment = 0.0 μB/f.u.
# Calculated density = 4.1 g/cm³
# E above lowest polymorph = 46.3 meV per atom
# Raw total energy = -6.464 eV/atom
data_Li3BiB2O6
_cell_length_a 5.106
_cell_length_b 7.119
_cell_length_c 8.309
_cell_angle_alpha 70.00
_cell_angle_beta 87.65
_cell_angle_gamma 88.36
_space_group_name_H-M_alt 'P -1'
_space_group_IT_number 2
loop_
_space_group_symop_operation_xyz
'x,y,z'
'-x,-y,-z'
loop_
_atom_site_label
_atom_site_fract_x
_atom_site_fract_y
_atom_site_fract_z
Li1 0.176 0.262 0.126
Li2 0.186 0.551 0.763
Li3 0.322 0.427 0.420
Bi1 0.332 0.064 0.787
B1 0.163 0.811 0.419
B2 0.324 0.640 0.065
O1 0.108 0.207 0.554
O2 0.191 0.501 0.195
O3 0.205 0.735 0.906
O4 0.252 0.977 0.278
O5 0.330 0.671 0.518
O6 0.417 0.306 0.918

---

# PBE-GGA AlOF, optimized geometry
# Energy with MP2020 corrections = -7.136 eV/atom
# ΔE_f = -3600 meV/atom
# Total magnetic moment = 0.0 μB/f.u.
# Calculated density = 3.2 g/cm³
# Raw total energy = -6.753 eV/atom
data_AlOF
_cell_length_a 9.070
_cell_length_b 8.640
_cell_length_c 4.925
_cell_angle_alpha 90.00
_cell_angle_beta 90.00
_cell_angle_gamma 90.00
_space_group_name_H-M_alt 'P n m a'
_space_group_IT_number 62
loop_
_space_group_symop_operation_xyz
'x,y,z'
'-x,-y,-z'
'-x+1/2,-y,z+1/2'
'x+1/2,y,-z+1/2'
'x+1/2,-y+1/2,-z+1/2'
'-x+1/2,y+1/2,z+1/2'
'-x,y+1/2,-z'
'x,-y+1/2,z'
loop_
_atom_site_label
_atom_site_fract_x
_atom_site_fract_y
_atom_site_fract_z
Al1 0.076 0.250 0.125
Al2 0.133 0.573 0.439
O1 0.017 0.087 0.307
O2 0.234 0.750 0.537
F1 0.020 0.750 0.195
F2 0.246 0.556 0.128

---

# PBE-GGA MnSnPd2, optimized geometry
# ΔE_f = -411 meV/atom
# Calculated density = 9.6 g/cm³
# Raw total energy = -6.294 eV/atom
data_MnSnPd2
_cell_length_a 6.432
_cell_length_b 6.432
_cell_length_c 6.432
_cell_angle_alpha 90.00
_cell_angle_beta 90.00
_cell_angle_gamma 90.00
_space_group_name_H-M_alt 'F m -3 m'
_space_group_IT_number 225
_space_group_name_Hall '-F 4 2 3'
loop_
_atom_site_label
_atom_site_fract_x
_atom_site_fract_y
_atom_site_fract_z
Mn1 0.000 0.000 0.000
Sn1 0.000 0.000 0.500
Pd1 0.250 0.250 0.250

---

# PBE-GGA LiAu4Se4Cl4O12, optimized geometry
# Energy with MP2020 corrections = -4.697 eV/atom
# ΔE_f = -867 meV/atom
# Total magnetic moment = 0.7 μB/f.u.
# Calculated density = 4.8 g/cm³
# E above lowest polymorph = 19.6 meV per atom
# Raw total energy = -4.368 eV/atom
data_LiAu4Se4Cl4O12
_cell_length_a 4.475
_cell_length_b 9.934
_cell_length_c 11.346
_cell_angle_alpha 95.52
_cell_angle_beta 90.23
_cell_angle_gamma 90.03
_space_group_name_H-M_alt 'P 1'
_space_group_IT_number 1
loop_
_space_group_symop_operation_xyz
'x,y,z'
loop_
_atom_site_label
_atom_site_fract_x
_atom_site_fract_y
_atom_site_fract_z
Li1 0.000 0.000 0.000
Au1 0.782 0.245 0.141
Au2 0.787 0.834 0.453
Au3 0.799 0.246 0.640
Au4 0.807 0.656 0.825
Se1 0.011 0.954 0.720
Se2 0.088 0.361 0.902
Se3 0.498 0.126 0.381
Se4 0.593 0.534 0.552
Cl1 0.082 0.437 0.175
Cl2 0.127 0.756 0.974
Cl3 0.444 0.759 0.312
Cl4 0.512 0.035 0.093
O1 0.112 0.897 0.577
O2 0.142 0.282 0.760
O3 0.450 0.206 0.524
O4 0.492 0.588 0.697
O5 0.691 0.256 0.321
O6 0.715 0.066 0.704
O7 0.741 0.843 0.768
O8 0.779 0.464 0.886
O9 0.812 0.022 0.395
O10 0.858 0.650 0.511
O11 0.889 0.424 0.573
O12 0.903 0.224 0.962

---

# PBE-GGA KMg14V, optimized geometry
# ΔE_f = 195 meV/atom
# Total magnetic moment = 3.5 μB/f.u.
# Calculated density = 1.9 g/cm³
# E above lowest polymorph = 7.1 meV per atom
# Raw total energy = -1.842 eV/atom
data_KMg14V
_cell_length_a 10.468
_cell_length_b 6.552
_cell_length_c 11.144
_cell_angle_alpha 90.00
_cell_angle_beta 90.00
_cell_angle_gamma 90.00
_space_group_name_H-M_alt 'A m m 2'
_space_group_IT_number 38
loop_
_space_group_symop_operation_xyz
'x,y,z'
'-x,-y,z'
'-x,y,z'
'x,-y,z'
'x,y+1/2,z+1/2'
'-x,-y+1/2,z+1/2'
'-x,y+1/2,z+1/2'
'x,-y+1/2,z+1/2'
loop_
_atom_site_label
_atom_site_fract_x
_atom_site_fract_y
_atom_site_fract_z
K1 0.000 0.000 0.000
Mg1 0.000 0.247 0.251
Mg2 0.242 0.000 0.664
Mg3 0.257 0.238 0.416
Mg4 0.263 0.000 0.172
Mg5 0.500 0.000 0.501
Mg6 0.500 0.000 0.999
Mg7 0.500 0.248 0.750
V1 0.000 0.000 0.496

---

# PBE-GGA AlIO, optimized geometry
# Energy with MP2020 corrections = -5.550 eV/atom
# ΔE_f = -2144 meV/atom
# Total magnetic moment = 0.0 μB/f.u.
# Calculated density = 3.8 g/cm³
# Raw total energy = -5.321 eV/atom
data_AlIO
_cell_length_a 5.851
_cell_length_b 9.831
_cell_length_c 5.104
_cell_angle_alpha 90.00
_cell_angle_beta 90.00
_cell_angle_gamma 90.00
_space_group_name_H-M_alt 'P c a 21'
_space_group_IT_number 29
loop_
_space_group_symop_operation_xyz
'x,y,z'
'-x,-y,z+1/2'
'-x+1/2,y,z+1/2'
'x+1/2,-y,z'
loop_
_atom_site_label
_atom_site_fract_x
_atom_site_fract_y
_atom_site_fract_z
Al1 0.099 0.076 0.000
I1 0.001 0.684 0.602
O1 0.128 0.028 0.656

---

# PBE-GGA Er4Al24Pd9, optimized geometry
# ΔE_f = -705 meV/atom
# Calculated density = 5.9 g/cm³
# Raw total energy = -4.889 eV/atom
data_Er4Al24Pd9
_cell_length_a 7.470
_cell_length_b 7.513
_cell_length_c 13.228
_cell_angle_alpha 84.90
_cell_angle_beta 79.37
_cell_angle_gamma 60.51
_space_group_name_H-M_alt 'P -1'
_space_group_IT_number 2
loop_
_space_group_symop_operation_xyz
'x,y,z'
'-x,-y,-z'
loop_
_atom_site_label
_atom_site_fract_x
_atom_site_fract_y
_atom_site_fract_z
Er1 0.062 0.331 0.309
Er2 0.268 0.998 0.692
Al1 0.019 0.666 0.445
Al2 0.118 0.666 0.171
Al3 0.146 0.333 0.059
Al4 0.186 0.001 0.941
Al5 0.193 0.869 0.315
Al6 0.231 0.660 0.830
Al7 0.317 0.668 0.547
Al8 0.353 0.001 0.445
Al9 0.396 0.458 0.316
Al10 0.397 0.336 0.683
Al11 0.443 0.994 0.171
Al12 0.479 0.667 0.061
Pd1 0.000 0.000 0.500
Pd2 0.113 0.007 0.139
Pd3 0.205 0.333 0.861
Pd4 0.329 0.329 0.500
Pd5 0.453 0.326 0.137

---

# PBE-GGA Dy2Sn3Pb3S12, optimized geometry
# Energy with MP2020 corrections = -5.238 eV/atom
# ΔE_f = -1137 meV/atom
# Total magnetic moment = 0.0 μB/f.u.
# Calculated density = 6.0 g/cm³
# Raw total energy = -4.936 eV/atom
data_Dy2Sn3Pb3S12
_cell_length_a 3.942
_cell_length_b 20.416
_cell_length_c 11.645
_cell_angle_alpha 90.00
_cell_angle_beta 90.00
_cell_angle_gamma 90.00
_space_group_name_H-M_alt 'P m c 21'
_space_group_IT_number 26
loop_
_space_group_symop_operation_xyz
'x,y,z'
'-x,-y,z+1/2'
'-x,y,z'
'x,-y,z+1/2'
loop_
_atom_site_label
_atom_site_fract_x
_atom_site_fract_y
_atom_site_fract_z
Dy1 0.000 0.087 0.000
Dy2 0.000 0.394 0.679
Sn1 0.500 0.074 0.346
Sn2 0.500 0.250 0.855
Sn3 0.500 0.412 0.373
Pb1 0.000 0.122 0.625
Pb2 0.000 0.242 0.256
Pb3 0.000 0.415 0.052
S1 0.000 0.007 0.289
S2 0.000 0.242 0.000
S3 0.000 0.257 0.704
S4 0.000 0.342 0.455
S5 0.000 0.483 0.290
S6 0.500 0.010 0.535
S7 0.500 0.126 0.838
S8 0.500 0.139 0.157
S9 0.500 0.176 0.455
S10 0.500 0.343 0.191
S11 0.500 0.375 0.844
S12 0.500 0.469 0.567

---

# PBE-GGA KAlCO5, optimized geometry
# Energy with MP2020 corrections = -6.856 eV/atom
# ΔE_f = -2003 meV/atom
# Total magnetic moment = 2.0 μB/f.u.
# Calculated density = 2.2 g/cm³
# Raw total energy = -6.427 eV/atom
data_KAlCO5
_cell_length_a 6.735
_cell_length_b 11.840
_cell_length_c 5.929
_cell_angle_alpha 90.00
_cell_angle_beta 90.00
_cell_angle_gamma 90.00
_space_group_name_H-M_alt 'C m c m'
_space_group_IT_number 63
_space_group_name_Hall '-C 2c 2'
loop_
_atom_site_label
_atom_site_fract_x
_atom_site_fract_y
_atom_site_fract_z
K1 0.000 0.146 0.250
Al1 0.000 0.500 0.000
C1 0.000 0.283 0.750
O1 0.000 0.176 0.750
O2 0.000 0.336 0.556
O3 0.162 0.481 0.250

---

# PBE-GGA Bi3Pt3O11, optimized geometry
# Energy with MP2020 corrections = -6.284 eV/atom
# ΔE_f = -1324 meV/atom
# Calculated density = 10.7 g/cm³
# Raw total energy = -5.839 eV/atom
data_Bi3Pt3O11
_cell_length_a 9.521
_cell_length_b 9.521
_cell_length_c 9.521
_cell_angle_alpha 90.00
_cell_angle_beta 90.00
_cell_angle_gamma 90.00
_space_group_name_H-M_alt 'P n -3'
_space_group_IT_number 201
loop_
_space_group_symop_operation_xyz
'x,y,z'
'-x,-y,-z'
'-x+1/2,-y+1/2,z'
'x+1/2,y+1/2,-z'
'x,-y+1/2,-z+1/2'
'-x,y+1/2,z+1/2'
'-x+1/2,y,-z+1/2'
'x+1/2,-y,z+1/2'
'z,x,y'
'-z,-x,-y'
'z,-x+1/2,-y+1/2'
'-z,x+1/2,y+1/2'
'-z+1/2,x,-y+1/2'
'z+1/2,-x,y+1/2'
'-z+1/2,-x+1/2,y'
'z+1/2,x+1/2,-y'
'y,z,x'
'-y,-z,-x'
'-y+1/2,z,-x+1/2'
'y+1/2,-z,x+1/2'
'-y+1/2,-z+1/2,x'
'y+1/2,z+1/2,-x'
'y,-z+1/2,-x+1/2'
'-y,z+1/2,x+1/2'
loop_
_atom_site_label
_atom_site_fract_x
_atom_site_fract_y
_atom_site_fract_z
Bi1 0.000 0.000 0.000
Bi2 0.118 0.118 0.382
Pt1 0.092 0.250 0.750
O1 0.038 0.745 0.419
O2 0.105 0.750 0.750
O3 0.147 0.147 0.147

---

# PBE-GGA Ti3Bi, optimized geometry
# ΔE_f = -89 meV/atom
# Total magnetic moment = 0.1 μB/f.u.
# Calculated density = 7.8 g/cm³
# Raw total energy = -6.983 eV/atom
data_Ti3Bi
_cell_length_a 6.0029
_cell_length_b 6.0029
_cell_length_c 4.8261
_cell_angle_alpha 90.00
_cell_angle_beta 90.00
_cell_angle_gamma 120.00
_space_group_name_H-M_alt 'P 63/m m c'
_space_group_IT_number 194
_space_group_name_Hall '-P 6c 2c'
loop_
_atom_site_label
_atom_site_fract_x
_atom_site_fract_y
_atom_site_fract_z
Ti1 0.1580 0.3161 0.2500
Bi1 0.3333 0.6667 0.7500